(1)
This record from Materials Project describes an optimized crystal structure of Cd5Si2O10. The functional is PBE-GGA.

Unit cell a=5.013 b=11.412 c=17.574 alpha=70.59 beta=90.00 gamma=90.00
Atoms (fractional coordinates):
Cd1 0.500 0.500 0.000
Cd2 0.000 0.000 0.000
Cd3 0.000 0.500 0.500
Cd4 0.500 0.000 0.500
Cd5 0.491 0.270 0.900
Cd6 0.991 0.230 0.100
Cd7 0.509 0.730 0.100
Cd8 0.009 0.770 0.900
Cd9 0.515 0.236 0.600
Cd10 0.015 0.264 0.400
Cd11 0.485 0.764 0.400
Cd12 0.985 0.736 0.600
Cd13 0.986 0.408 0.712
Cd14 0.486 0.092 0.288
Cd15 0.014 0.592 0.288
Cd16 0.514 0.908 0.712
Cd17 0.022 0.103 0.788
Cd18 0.522 0.397 0.212
Cd19 0.978 0.897 0.212
Cd20 0.478 0.603 0.788
Si1 0.924 0.460 0.898
Si2 0.424 0.040 0.102
Si3 0.076 0.540 0.102
Si4 0.576 0.960 0.898
Si5 0.075 0.047 0.600
Si6 0.575 0.453 0.400
Si7 0.925 0.953 0.400
Si8 0.425 0.547 0.600
O1 0.783 0.438 0.818
O2 0.283 0.062 0.182
O3 0.217 0.562 0.182
O4 0.717 0.938 0.818
O5 0.215 0.073 0.679
O6 0.715 0.427 0.321
O7 0.785 0.927 0.321
O8 0.285 0.573 0.679
O9 0.703 0.092 0.902
O10 0.203 0.408 0.098
O11 0.297 0.908 0.098
O12 0.797 0.592 0.902
O13 0.299 0.413 0.598
O14 0.799 0.087 0.402
O15 0.701 0.587 0.402
O16 0.201 0.913 0.598
O17 0.797 0.348 0.977
O18 0.297 0.152 0.023
O19 0.203 0.652 0.023
O20 0.703 0.848 0.977
O21 0.208 0.155 0.521
O22 0.708 0.345 0.479
O23 0.792 0.845 0.479
O24 0.292 0.655 0.521
O25 0.748 0.048 0.603
O26 0.248 0.452 0.397
O27 0.252 0.952 0.397
O28 0.752 0.548 0.603
O29 0.252 0.459 0.895
O30 0.752 0.041 0.105
O31 0.748 0.541 0.105
O32 0.248 0.959 0.895
O33 0.269 0.263 0.791
O34 0.769 0.237 0.209
O35 0.731 0.737 0.209
O36 0.231 0.763 0.791
O37 0.740 0.247 0.708
O38 0.240 0.253 0.292
O39 0.260 0.753 0.292
O40 0.760 0.747 0.708

## Properties
Magnetic moment   0.118 μB per atom
VASP energy   -5.335 eV per atom
Space group   P2_1/c
DFT formation energy   -44.25 kcal/mol of atoms
Mass density   5.5 g cm⁻³

***

(2)
This record from Materials Project describes an optimized crystal structure of Cd4Si4O9. The functional is PBE-GGA.

Unit cell a=6.143 b=8.197 c=11.183 alpha=90.00 beta=97.23 gamma=90.00
Atoms (fractional coordinates):
Cd1 0.788 0.829 0.852
Cd2 0.212 0.329 0.648
Cd3 0.212 0.171 0.148
Cd4 0.788 0.671 0.352
Cd5 0.733 0.388 0.915
Cd6 0.267 0.888 0.585
Cd7 0.267 0.612 0.085
Cd8 0.733 0.112 0.415
Si1 0.693 0.055 0.109
Si2 0.307 0.555 0.391
Si3 0.307 0.945 0.891
Si4 0.693 0.445 0.609
Si5 0.856 0.686 0.123
Si6 0.144 0.186 0.377
Si7 0.144 0.314 0.877
Si8 0.856 0.814 0.623
O1 0.500 0.000 0.000
O2 0.500 0.500 0.500
O3 0.858 0.184 0.056
O4 0.142 0.684 0.444
O5 0.142 0.816 0.944
O6 0.858 0.316 0.556
O7 0.837 0.886 0.147
O8 0.163 0.386 0.353
O9 0.163 0.114 0.853
O10 0.837 0.614 0.647
O11 0.571 0.116 0.222
O12 0.429 0.616 0.278
O13 0.429 0.884 0.778
O14 0.571 0.384 0.722
O15 0.314 0.362 0.998
O16 0.686 0.862 0.502
O17 0.686 0.638 0.002
O18 0.314 0.138 0.498

## Properties
Magnetic moment   0.064 μB per atom
VASP energy   -5.714 eV per atom
Space group   P2_1/c
DFT formation energy   -45.31 kcal/mol of atoms
Mass density   4.2 g cm⁻³

***

(3)
This record from Materials Project describes an optimized crystal structure of Cd2SiO2. The functional is PBE-GGA.

Unit cell a=7.840 b=7.840 c=9.389 alpha=114.04 beta=114.04 gamma=91.38
Atoms (fractional coordinates):
Cd1 0.324 0.142 0.627
Cd2 0.302 0.485 0.627
Cd3 0.858 0.676 0.373
Cd4 0.926 0.608 0.873
Cd5 0.515 0.698 0.373
Cd6 0.948 0.265 0.873
Cd7 0.392 0.074 0.127
Cd8 0.735 0.052 0.127
Si1 0.625 0.875 0.750
Si2 0.125 0.875 0.750
Si3 0.125 0.375 0.250
Si4 0.125 0.875 0.250
O1 0.622 0.675 0.759
O2 0.137 0.084 0.759
O3 0.325 0.378 0.241
O4 0.628 0.075 0.741
O5 0.916 0.863 0.241
O6 0.113 0.666 0.741
O7 0.925 0.372 0.259
O8 0.334 0.887 0.259

## Properties
Magnetic moment   0.000 μB per atom
VASP energy   -4.141 eV per atom
Space group   Fddd
DFT formation energy   -22.66 kcal/mol of atoms
Mass density   4.0 g cm⁻³

***

(4)
This record from Materials Project describes an optimized crystal structure of Cd18Sn19O56. The functional is PBE-GGA.

Unit cell a=6.551 b=6.688 c=46.538 alpha=59.00 beta=58.74 gamma=58.83
Atoms (fractional coordinates):
Cd1 0.127 0.115 0.305
Cd2 0.500 0.502 0.213
Cd3 0.150 0.112 0.441
Cd4 0.867 0.877 0.126
Cd5 0.501 0.500 0.357
Cd6 0.128 0.115 0.591
Cd7 0.854 0.891 0.272
Cd8 0.500 0.500 0.500
Cd9 0.150 0.111 0.727
Cd10 0.871 0.885 0.410
Cd11 0.500 0.500 0.643
Cd12 0.130 0.116 0.876
Cd13 0.850 0.889 0.558
Cd14 0.500 0.500 0.786
Cd15 0.872 0.885 0.695
Cd16 0.491 0.492 0.930
Cd17 0.849 0.887 0.845
Cd18 0.878 0.883 0.980
Sn1 0.013 0.499 0.070
Sn2 0.501 0.010 0.071
Sn3 0.001 0.504 0.214
Sn4 0.499 0.497 0.071
Sn5 0.500 0.003 0.214
Sn6 0.491 0.487 0.145
Sn7 0.476 0.502 0.288
Sn8 0.000 0.500 0.500
Sn9 0.500 0.000 0.500
Sn10 0.501 0.001 0.357
Sn11 0.525 0.498 0.426
Sn12 0.476 0.501 0.574
Sn13 0.000 0.499 0.786
Sn14 0.524 0.499 0.712
Sn15 0.500 0.000 0.643
Sn16 0.500 0.000 0.786
Sn17 0.478 0.502 0.860
Sn18 0.535 0.501 0.996
Sn19 0.496 0.001 0.928
O1 0.263 0.264 0.041
O2 0.268 0.262 0.101
O3 0.267 0.691 0.040
O4 0.702 0.261 0.040
O5 0.301 0.730 0.104
O6 0.258 0.266 0.182
O7 0.732 0.729 0.045
O8 0.253 0.252 0.243
O9 0.252 0.701 0.177
O10 0.730 0.303 0.104
O11 0.733 0.730 0.105
O12 0.707 0.246 0.177
O13 0.300 0.245 0.318
O14 0.292 0.758 0.248
O15 0.292 0.233 0.385
O16 0.307 0.726 0.315
O17 0.744 0.315 0.248
O18 0.745 0.752 0.184
O19 0.749 0.748 0.244
O20 0.716 0.250 0.319
O21 0.285 0.752 0.395
O22 0.251 0.255 0.469
O23 0.258 0.689 0.465
O24 0.255 0.250 0.529
O25 0.695 0.275 0.398
O26 0.709 0.769 0.328
O27 0.702 0.756 0.395
O28 0.712 0.244 0.465
O29 0.299 0.244 0.605
O30 0.288 0.756 0.535
O31 0.742 0.311 0.535
O32 0.292 0.234 0.671
O33 0.306 0.726 0.601
O34 0.746 0.750 0.471
O35 0.750 0.746 0.531
O36 0.716 0.249 0.605
O37 0.250 0.254 0.755
O38 0.284 0.751 0.681
O39 0.255 0.250 0.814
O40 0.694 0.274 0.684
O41 0.258 0.689 0.751
O42 0.709 0.766 0.615
O43 0.701 0.756 0.681
O44 0.712 0.244 0.751
O45 0.298 0.247 0.890
O46 0.287 0.757 0.821
O47 0.303 0.724 0.888
O48 0.745 0.750 0.757
O49 0.298 0.223 0.957
O50 0.743 0.310 0.821
O51 0.719 0.248 0.890
O52 0.749 0.745 0.817
O53 0.285 0.743 0.968
O54 0.707 0.268 0.970
O55 0.697 0.763 0.901
O56 0.706 0.755 0.966

## Properties
Magnetic moment   0.006 μB per atom
VASP energy   -5.293 eV per atom
Space group   P1
DFT formation energy   -39.88 kcal/mol of atoms
Mass density   6.1 g cm⁻³

***

(5)
This record from Materials Project describes an optimized crystal structure of CdSnO3. The functional is PBE-GGA.

Unit cell a=4.057 b=4.057 c=4.057 alpha=90.00 beta=90.00 gamma=90.00
Atoms (fractional coordinates):
Cd1 0.000 0.000 0.000
Sn1 0.500 0.500 0.500
O1 0.500 0.500 0.000
O2 0.500 0.000 0.500
O3 0.000 0.500 0.500

## Properties
Magnetic moment   0.000 μB per atom
VASP energy   -5.042 eV per atom
Space group   Pm-3m
DFT formation energy   -34.56 kcal/mol of atoms
Mass density   6.9 g cm⁻³

***

(6)
This record from Materials Project describes an optimized crystal structure of CdSnO3. The functional is PBE-GGA.

Unit cell a=5.554 b=5.678 c=8.036 alpha=90.00 beta=90.00 gamma=90.00
Atoms (fractional coordinates):
Cd1 0.012 0.953 0.750
Cd2 0.488 0.453 0.750
Cd3 0.512 0.547 0.250
Cd4 0.988 0.047 0.250
Sn1 0.000 0.500 0.000
Sn2 0.000 0.500 0.500
Sn3 0.500 0.000 0.000
Sn4 0.500 0.000 0.500
O1 0.114 0.449 0.250
O2 0.194 0.197 0.561
O3 0.194 0.197 0.939
O4 0.306 0.697 0.561
O5 0.306 0.697 0.939
O6 0.386 0.949 0.250
O7 0.614 0.051 0.750
O8 0.694 0.303 0.061
O9 0.694 0.303 0.439
O10 0.806 0.803 0.061
O11 0.806 0.803 0.439
O12 0.886 0.551 0.750

## Properties
Magnetic moment   0.000 μB per atom
VASP energy   -5.358 eV per atom
Space group   Pnma
DFT formation energy   -41.85 kcal/mol of atoms
Mass density   7.3 g cm⁻³

***

(7)
This record from Materials Project describes an optimized crystal structure of CdSnO3. The functional is PBE-GGA.

Unit cell a=6.704 b=8.489 c=3.365 alpha=89.85 beta=120.34 gamma=73.32
Atoms (fractional coordinates):
Cd1 0.294 0.664 0.048
Cd2 0.706 0.336 0.952
Sn1 0.669 0.831 0.922
Sn2 0.331 0.169 0.078
O1 0.898 0.782 0.653
O2 0.598 0.089 0.848
O3 0.424 0.381 0.170
O4 0.102 0.218 0.347
O5 0.402 0.911 0.152
O6 0.576 0.619 0.830

## Properties
Magnetic moment   0.000 μB per atom
VASP energy   -5.309 eV per atom
Space group   P-1
DFT formation energy   -40.71 kcal/mol of atoms
Mass density   5.9 g cm⁻³

***

(8)
This record from Materials Project describes an optimized crystal structure of CdTcO3. The functional is PBE-GGA.

Unit cell a=5.458 b=5.548 c=7.891 alpha=90.00 beta=90.00 gamma=90.00
Atoms (fractional coordinates):
Cd1 0.508 0.545 0.250
Cd2 0.992 0.045 0.250
Cd3 0.492 0.455 0.750
Cd4 0.008 0.955 0.750
Tc1 0.000 0.500 0.000
Tc2 0.500 0.000 0.500
Tc3 0.000 0.500 0.500
Tc4 0.500 0.000 0.000
O1 0.807 0.805 0.054
O2 0.693 0.305 0.446
O3 0.193 0.195 0.554
O4 0.307 0.695 0.946
O5 0.193 0.195 0.946
O6 0.307 0.695 0.554
O7 0.807 0.805 0.446
O8 0.693 0.305 0.054
O9 0.399 0.957 0.250
O10 0.101 0.457 0.250
O11 0.601 0.043 0.750
O12 0.899 0.543 0.750

## Properties
Magnetic moment   0.487 μB per atom
VASP energy   -6.373 eV per atom
Space group   Pnma
DFT formation energy   -35.97 kcal/mol of atoms
Mass density   7.2 g cm⁻³